Record 1
Here is a geometry-optimized VAg2P2O8 structure from the Materials Project database. Energies are from PBE with a Hubbard U.

Values from the calculation:
calculated total energy = -6.586 eV per atom
MP2020-corrected energy = -371.233 eV/cell
space-group type = P2_1/c
energy relative to the elements = -2127 meV per atom

Cell lengths 7.7956, 14.0955, 6.3604 Å; angles 90.00, 99.65, 90.00 degrees
Sites, in units of the cell vectors:
V 0.2244 0.0751 0.2656
V 0.2244 0.4249 0.7656
V 0.7756 0.5751 0.2344
V 0.7756 0.9249 0.7344
Ag 0.0452 0.7136 0.6511
Ag 0.0452 0.7864 0.1511
Ag 0.4692 0.6470 0.5755
Ag 0.4692 0.8530 0.0755
Ag 0.5308 0.1470 0.9245
Ag 0.5308 0.3530 0.4245
Ag 0.9548 0.2136 0.8489
Ag 0.9548 0.2864 0.3489
P 0.1732 0.0206 0.7489
P 0.1732 0.4794 0.2489
P 0.3612 0.6252 0.0362
P 0.3612 0.8748 0.5362
P 0.6388 0.1252 0.4638
P 0.6388 0.3748 0.9638
P 0.8268 0.5206 0.7511
P 0.8268 0.9794 0.2511
O 0.0208 0.5184 0.7406
O 0.0208 0.9816 0.2406
O 0.1044 0.1715 0.1802
O 0.1044 0.3285 0.6802
O 0.2217 0.0892 0.5815
O 0.2217 0.4108 0.0815
O 0.2261 0.5853 0.1862
O 0.2261 0.9147 0.6862
O 0.2836 0.0425 0.9684
O 0.2836 0.4575 0.4684
O 0.2846 0.7215 0.9579
O 0.2846 0.7785 0.4579
O 0.3646 0.5541 0.8544
O 0.3646 0.9459 0.3544
O 0.4633 0.1373 0.3145
O 0.4633 0.3627 0.8145
O 0.5367 0.6373 0.1855
O 0.5367 0.8627 0.6855
O 0.6354 0.0541 0.6456
O 0.6354 0.4459 0.1456
O 0.7154 0.2215 0.5421
O 0.7154 0.2785 0.0421
O 0.7164 0.5425 0.5316
O 0.7164 0.9575 0.0316
O 0.7739 0.0853 0.3138
O 0.7739 0.4147 0.8138
O 0.7783 0.5892 0.9185
O 0.7783 0.9108 0.4185
O 0.8956 0.6715 0.3198
O 0.8956 0.8285 0.8198
O 0.9792 0.0184 0.7594
O 0.9792 0.4816 0.2594



Record 2
Here is a geometry-optimized V2AgP2O10 structure from the Materials Project database. Energies are from PBE with a Hubbard U.

Values from the calculation:
calculated total energy = -7.074 eV per atom
MP2020-corrected energy = -465.507 eV/cell
space-group type = P2_1/c
energy relative to the elements = -2338 meV per atom

Cell lengths 5.3082, 8.2199, 17.2643 Å; angles 90.00, 91.70, 90.00 degrees
Sites, in units of the cell vectors:
V 0.0342 0.0322 0.1469
V 0.0342 0.4678 0.6469
V 0.3551 0.6325 0.9293
V 0.3551 0.8675 0.4293
V 0.6449 0.1325 0.5707
V 0.6449 0.3675 0.0707
V 0.9658 0.5322 0.3531
V 0.9658 0.9678 0.8531
Ag 0.4338 0.2124 0.3128
Ag 0.4338 0.2876 0.8128
Ag 0.5662 0.7124 0.1872
Ag 0.5662 0.7876 0.6872
P 0.1328 0.2351 0.9840
P 0.1328 0.2649 0.4840
P 0.1433 0.0778 0.6828
P 0.1433 0.4222 0.1828
P 0.8567 0.5778 0.8172
P 0.8567 0.9222 0.3172
P 0.8672 0.7351 0.5160
P 0.8672 0.7649 0.0160
O 0.1006 0.5204 0.8585
O 0.1006 0.9796 0.3585
O 0.1169 0.6730 0.0138
O 0.1169 0.8270 0.5138
O 0.1444 0.2346 0.1970
O 0.1444 0.2654 0.6970
O 0.1548 0.1375 0.9068
O 0.1548 0.3625 0.4068
O 0.1575 0.1104 0.0518
O 0.1575 0.3896 0.5518
O 0.1726 0.5029 0.2645
O 0.1726 0.9971 0.7645
O 0.2749 0.5784 0.6757
O 0.2749 0.9216 0.1757
O 0.3162 0.6867 0.3891
O 0.3162 0.8133 0.8891
O 0.3628 0.1469 0.4874
O 0.3628 0.3531 0.9874
O 0.3830 0.0302 0.6398
O 0.3830 0.4698 0.1398
O 0.6170 0.5302 0.8602
O 0.6170 0.9698 0.3602
O 0.6372 0.6469 0.0126
O 0.6372 0.8531 0.5126
O 0.6838 0.1867 0.1109
O 0.6838 0.3133 0.6109
O 0.7251 0.0784 0.8243
O 0.7251 0.4216 0.3243
O 0.8274 0.0029 0.2355
O 0.8274 0.4971 0.7355
O 0.8425 0.6104 0.4482
O 0.8425 0.8896 0.9482
O 0.8452 0.6375 0.5932
O 0.8452 0.8625 0.0932
O 0.8556 0.7346 0.3030
O 0.8556 0.7654 0.8030
O 0.8831 0.1730 0.4862
O 0.8831 0.3270 0.9862
O 0.8994 0.0204 0.6415
O 0.8994 0.4796 0.1415



Record 3
Here is a geometry-optimized VAgS2O8 structure from the Materials Project database. Energies are from PBE with a Hubbard U.

Values from the calculation:
calculated total energy = -6.226 eV per atom
MP2020-corrected energy = -81.910 eV/cell
space-group type = C2/m
energy relative to the elements = -1845 meV per atom

Cell lengths 4.8713, 4.8713, 7.4379 Å; angles 91.23, 91.23, 65.22 degrees
Sites, in units of the cell vectors:
V 0.0000 0.0000 0.0000
Ag 0.0000 0.0000 0.5000
S 0.3623 0.3623 0.2151
S 0.6377 0.6377 0.7849
O 0.2390 0.7027 0.1958
O 0.2424 0.2424 0.0628
O 0.2925 0.2925 0.3922
O 0.2973 0.7610 0.8042
O 0.7027 0.2390 0.1958
O 0.7075 0.7075 0.6078
O 0.7577 0.7577 0.9372
O 0.7610 0.2973 0.8042



Q: Look up the energy relative to the elements of the first one.
A: -2127 meV per atom



Please write out number 2 again, unchanged.
Here is a geometry-optimized V2AgP2O10 structure from the Materials Project database. Energies are from PBE with a Hubbard U.

Values from the calculation:
calculated total energy = -7.074 eV per atom
MP2020-corrected energy = -465.507 eV/cell
space-group type = P2_1/c
energy relative to the elements = -2338 meV per atom

Cell lengths 5.3082, 8.2199, 17.2643 Å; angles 90.00, 91.70, 90.00 degrees
Sites, in units of the cell vectors:
V 0.0342 0.0322 0.1469
V 0.0342 0.4678 0.6469
V 0.3551 0.6325 0.9293
V 0.3551 0.8675 0.4293
V 0.6449 0.1325 0.5707
V 0.6449 0.3675 0.0707
V 0.9658 0.5322 0.3531
V 0.9658 0.9678 0.8531
Ag 0.4338 0.2124 0.3128
Ag 0.4338 0.2876 0.8128
Ag 0.5662 0.7124 0.1872
Ag 0.5662 0.7876 0.6872
P 0.1328 0.2351 0.9840
P 0.1328 0.2649 0.4840
P 0.1433 0.0778 0.6828
P 0.1433 0.4222 0.1828
P 0.8567 0.5778 0.8172
P 0.8567 0.9222 0.3172
P 0.8672 0.7351 0.5160
P 0.8672 0.7649 0.0160
O 0.1006 0.5204 0.8585
O 0.1006 0.9796 0.3585
O 0.1169 0.6730 0.0138
O 0.1169 0.8270 0.5138
O 0.1444 0.2346 0.1970
O 0.1444 0.2654 0.6970
O 0.1548 0.1375 0.9068
O 0.1548 0.3625 0.4068
O 0.1575 0.1104 0.0518
O 0.1575 0.3896 0.5518
O 0.1726 0.5029 0.2645
O 0.1726 0.9971 0.7645
O 0.2749 0.5784 0.6757
O 0.2749 0.9216 0.1757
O 0.3162 0.6867 0.3891
O 0.3162 0.8133 0.8891
O 0.3628 0.1469 0.4874
O 0.3628 0.3531 0.9874
O 0.3830 0.0302 0.6398
O 0.3830 0.4698 0.1398
O 0.6170 0.5302 0.8602
O 0.6170 0.9698 0.3602
O 0.6372 0.6469 0.0126
O 0.6372 0.8531 0.5126
O 0.6838 0.1867 0.1109
O 0.6838 0.3133 0.6109
O 0.7251 0.0784 0.8243
O 0.7251 0.4216 0.3243
O 0.8274 0.0029 0.2355
O 0.8274 0.4971 0.7355
O 0.8425 0.6104 0.4482
O 0.8425 0.8896 0.9482
O 0.8452 0.6375 0.5932
O 0.8452 0.8625 0.0932
O 0.8556 0.7346 0.3030
O 0.8556 0.7654 0.8030
O 0.8831 0.1730 0.4862
O 0.8831 0.3270 0.9862
O 0.8994 0.0204 0.6415
O 0.8994 0.4796 0.1415